Zr6CI14 | PBE | relaxed

For the energy with MP2020 corrections, the calculation gives -432.25 eV/cell. Its formation energy is -1.25 eV per atom.

The space group is Cmce (No. 64) and the conventional cell measures 15.9795, 15.1770 and 13.1421 Å, with angles of 90.00, 90.00 and 90.00 degrees. Symmetry generates all atoms from Zr at (0.0000, 0.1267, 0.0924), Zr at (0.1057, 0.0593, 0.8914), C at (0.0000, 0.0000, 0.0000), I at (0.0000, 0.1435, 0.7385), I at (0.1233, 0.0896, 0.2452), I at (0.1241, 0.2304, 0.9890), I at (0.2485, 0.0000, 0.5000) and I at (0.2500, 0.1425, 0.7500).



Cu2Cl2O | PBE | relaxed

For the energy with MP2020 corrections, the calculation gives -161.15 eV/cell. Its formation energy is -0.66 eV per atom.

The space group is Fddd (No. 70, origin choice 2) and the conventional cell measures 8.0472, 9.4144 and 9.9560 Å, with angles of 90.00, 90.00 and 90.00 degrees. Symmetry generates all atoms from Cu at (0.0000, 0.0000, 0.0000), Cl at (0.1250, 0.1250, 0.4131) and O at (0.1250, 0.1250, 0.1250).



DyThN2 | PBE | relaxed

For the energy with MP2020 corrections, the calculation gives -107.66 eV/cell. Its formation energy is -1.80 eV per atom.

The space group is R-3m (No. 166, hexagonal axes) and the conventional cell measures 3.5771, 3.5771 and 17.4541 Å, with angles of 90.00, 90.00 and 120.00 degrees. Symmetry generates all atoms from Dy at (0.0000, 0.0000, 0.0000), Th at (0.0000, 0.0000, 0.5000) and N at (0.0000, 0.0000, 0.2511).